Entry 1:
First-principles (PBE-GGA) data for a relaxed Na14Nb5In3Si12O48 crystal, as listed in Materials Project.

abc: 9.177 15.908 22.423
angles: 89.90 89.96 89.99
Space group P1 (No. 1)
Symmetry-distinct sites (fractional):
Na: 0.000 0.000 0.000
Na: 0.000 0.333 0.332
Na: 0.015 0.029 0.673
Na: 0.021 0.368 0.000
Na: 0.021 0.701 0.332
Na: 0.064 0.006 0.332
Na: 0.070 0.676 0.999
Na: 0.187 0.513 0.587
Na: 0.194 0.180 0.247
Na: 0.195 0.848 0.414
Na: 0.195 0.848 0.913
Na: 0.200 0.186 0.751
Na: 0.200 0.516 0.084
Na: 0.321 0.675 0.500
Na: 0.325 0.340 0.167
Na: 0.326 0.007 0.833
Na: 0.367 0.701 0.832
Na: 0.368 0.035 0.168
Na: 0.374 0.370 0.499
Na: 0.388 0.996 0.499
Na: 0.390 0.334 0.833
Na: 0.499 0.834 0.333
Na: 0.501 0.497 0.998
Na: 0.515 0.529 0.673
Na: 0.515 0.870 0.998
Na: 0.522 0.201 0.332
Na: 0.561 0.173 0.999
Na: 0.562 0.507 0.333
Na: 0.687 0.014 0.587
Na: 0.689 0.687 0.250
Na: 0.694 0.347 0.913
Na: 0.695 0.347 0.414
Na: 0.697 0.011 0.083
Na: 0.701 0.686 0.751
Na: 0.821 0.175 0.500
Na: 0.827 0.506 0.833
Na: 0.867 0.201 0.832
Na: 0.873 0.529 0.171
Na: 0.875 0.871 0.500
Na: 0.888 0.496 0.500
Na: 0.889 0.166 0.168
Na: 0.890 0.835 0.833
Nb: 0.191 0.514 0.732
Nb: 0.193 0.848 0.068
Nb: 0.194 0.180 0.900
Nb: 0.195 0.180 0.398
Nb: 0.196 0.182 0.608
Nb: 0.196 0.517 0.233
Nb: 0.196 0.847 0.569
Nb: 0.691 0.014 0.732
Nb: 0.693 0.683 0.108
Nb: 0.695 0.346 0.067
Nb: 0.695 0.680 0.898
Nb: 0.695 0.681 0.398
Nb: 0.696 0.347 0.569
Nb: 0.696 0.682 0.608
Nb: 0.697 0.011 0.233
In: 0.195 0.180 0.103
In: 0.195 0.514 0.440
In: 0.195 0.514 0.938
In: 0.195 0.844 0.268
In: 0.195 0.846 0.768
In: 0.694 0.013 0.937
In: 0.694 0.349 0.270
In: 0.695 0.014 0.439
In: 0.695 0.346 0.768
Si: 0.045 0.994 0.172
Si: 0.046 0.324 0.503
Si: 0.047 0.700 0.171
Si: 0.048 0.660 0.839
Si: 0.049 0.367 0.839
Si: 0.053 0.035 0.504
Si: 0.339 0.368 0.338
Si: 0.340 0.032 0.005
Si: 0.342 0.660 0.340
Si: 0.342 0.699 0.671
Si: 0.343 0.327 0.005
Si: 0.344 0.995 0.671
Si: 0.398 0.347 0.672
Si: 0.402 0.014 0.338
Si: 0.405 0.683 0.004
Si: 0.484 0.182 0.504
Si: 0.488 0.514 0.837
Si: 0.490 0.847 0.172
Si: 0.546 0.495 0.170
Si: 0.546 0.824 0.503
Si: 0.547 0.161 0.838
Si: 0.548 0.199 0.172
Si: 0.549 0.867 0.838
Si: 0.553 0.534 0.505
Si: 0.838 0.535 0.005
Si: 0.841 0.160 0.338
Si: 0.841 0.867 0.340
Si: 0.842 0.199 0.672
Si: 0.844 0.495 0.671
Si: 0.844 0.825 0.003
Si: 0.898 0.847 0.672
Si: 0.899 0.181 0.005
Si: 0.902 0.515 0.339
Si: 0.985 0.683 0.504
Si: 0.988 0.014 0.838
Si: 0.991 0.348 0.172
O: 0.013 0.195 0.947
O: 0.013 0.525 0.004
O: 0.013 0.528 0.280
O: 0.015 0.852 0.333
O: 0.015 0.860 0.614
O: 0.018 0.183 0.661
O: 0.022 0.502 0.675
O: 0.023 0.163 0.341
O: 0.023 0.829 0.009
O: 0.063 0.749 0.233
O: 0.065 0.421 0.900
O: 0.080 0.265 0.443
O: 0.082 0.769 0.509
O: 0.084 0.104 0.842
O: 0.085 0.599 0.504
O: 0.086 0.437 0.175
O: 0.086 0.932 0.113
O: 0.087 0.595 0.783
O: 0.092 0.094 0.561
O: 0.098 0.268 0.167
O: 0.099 0.935 0.832
O: 0.111 0.088 0.167
O: 0.113 0.755 0.833
O: 0.117 0.272 0.558
O: 0.117 0.626 0.900
O: 0.120 0.416 0.504
O: 0.120 0.956 0.231
O: 0.121 0.750 0.113
O: 0.123 0.605 0.175
O: 0.127 0.082 0.445
O: 0.129 0.419 0.782
O: 0.134 0.942 0.509
O: 0.136 0.275 0.842
O: 0.253 0.940 0.008
O: 0.254 0.275 0.341
O: 0.262 0.962 0.729
O: 0.263 0.083 0.947
O: 0.263 0.417 0.280
O: 0.268 0.604 0.674
O: 0.268 0.751 0.613
O: 0.270 0.087 0.659
O: 0.272 0.290 0.064
O: 0.272 0.624 0.400
O: 0.277 0.422 0.000
O: 0.278 0.755 0.334
O: 0.290 0.267 0.660
O: 0.292 0.935 0.333
O: 0.303 0.596 0.283
O: 0.304 0.600 0.004
O: 0.305 0.436 0.674
O: 0.305 0.932 0.612
O: 0.306 0.103 0.341
O: 0.307 0.264 0.947
O: 0.308 0.770 0.010
O: 0.321 0.086 0.064
O: 0.321 0.421 0.399
O: 0.326 0.751 0.732
O: 0.365 0.163 0.841
O: 0.367 0.498 0.175
O: 0.367 0.830 0.508
O: 0.370 0.172 0.559
O: 0.375 0.185 0.167
O: 0.375 0.853 0.832
O: 0.375 0.861 0.114
O: 0.377 0.525 0.504
O: 0.378 0.529 0.779
O: 0.379 0.196 0.444
O: 0.398 0.499 0.898
O: 0.407 0.829 0.233
O: 0.484 0.331 0.732
O: 0.492 0.997 0.399
O: 0.511 0.696 0.944
O: 0.513 0.353 0.333
O: 0.514 0.017 0.000
O: 0.514 0.028 0.280
O: 0.515 0.361 0.614
O: 0.518 0.683 0.661
O: 0.520 0.673 0.059
O: 0.522 0.002 0.675
O: 0.524 0.331 0.008
O: 0.524 0.662 0.341
O: 0.568 0.255 0.231
O: 0.568 0.918 0.899
O: 0.580 0.765 0.443
O: 0.581 0.431 0.113
O: 0.582 0.269 0.509
O: 0.582 0.937 0.175
O: 0.585 0.100 0.504
O: 0.585 0.604 0.841
O: 0.586 0.095 0.782
O: 0.591 0.594 0.561
O: 0.598 0.435 0.833
O: 0.600 0.768 0.160
O: 0.612 0.255 0.832
O: 0.616 0.125 0.899
O: 0.617 0.772 0.558
O: 0.618 0.588 0.159
O: 0.620 0.916 0.504
O: 0.624 0.463 0.230
O: 0.625 0.250 0.114
O: 0.626 0.582 0.445
O: 0.629 0.918 0.782
O: 0.634 0.442 0.508
O: 0.635 0.108 0.175
O: 0.636 0.774 0.840
O: 0.753 0.775 0.341
O: 0.756 0.443 0.009
O: 0.761 0.918 0.283
O: 0.762 0.462 0.729
O: 0.763 0.582 0.945
O: 0.768 0.104 0.674
O: 0.768 0.250 0.613
O: 0.770 0.588 0.659
O: 0.771 0.124 0.399
O: 0.772 0.917 0.004
O: 0.774 0.772 0.058
O: 0.778 0.255 0.333
O: 0.790 0.767 0.660
O: 0.791 0.101 0.000
O: 0.791 0.436 0.334
O: 0.798 0.594 0.062
O: 0.805 0.271 0.008
O: 0.805 0.432 0.612
O: 0.806 0.097 0.281
O: 0.806 0.604 0.341
O: 0.806 0.936 0.674
O: 0.810 0.765 0.943
O: 0.823 0.920 0.400
O: 0.826 0.251 0.732
O: 0.865 0.000 0.176
O: 0.866 0.663 0.841
O: 0.867 0.330 0.508
O: 0.870 0.672 0.559
O: 0.872 0.682 0.161
O: 0.875 0.353 0.832
O: 0.876 0.362 0.114
O: 0.877 0.025 0.504
O: 0.877 0.029 0.780
O: 0.878 0.696 0.444
O: 0.898 0.332 0.231
O: 0.899 0.996 0.899
O: 0.984 0.830 0.732
O: 0.990 0.165 0.065
O: 0.992 0.497 0.399

Calculated values
- DFT formation energy (meV per atom) = -2809

Entry 2:
First-principles (PBE-GGA) data for a relaxed ZrOs crystal, as listed in Materials Project.

abc: 3.290 3.290 3.290
angles: 90.00 90.00 90.00
Space group Pm-3m (No. 221)
Symmetry-distinct sites (fractional):
Zr: 0.000 0.000 0.000
Os: 0.500 0.500 0.500

Calculated values
- DFT formation energy (meV per atom) = -531

Entry 3:
First-principles (PBE-GGA) data for a relaxed LiCSO3F3 crystal, as listed in Materials Project.

abc: 10.309 5.119 9.676
angles: 90.00 90.95 90.00
Space group P2_1/c (No. 14)
Symmetry-distinct sites (fractional):
Li: 0.100 0.111 0.090
C: 0.340 0.738 0.398
S: 0.176 0.607 0.908
O: 0.091 0.674 0.447
O: 0.148 0.508 0.771
O: 0.191 0.089 0.516
F: 0.338 0.545 0.303
F: 0.372 0.636 0.523
F: 0.429 0.583 0.862

Calculated values
- DFT formation energy (meV per atom) = -1996